A relaxed In3AsF6 crystal, computed with GGA-PBE.

Unit cell a=6.989 b=7.057 c=7.062 alpha=99.21 beta=107.42 gamma=100.58
Space group P-1 (No. 2)
Symmetry-distinct sites (fractional):
In 0.000 0.000 0.000 (multiplicity 1)
In 0.000 0.500 0.500 (multiplicity 1)
In 0.500 0.000 0.500 (multiplicity 1)
As 0.000 0.000 0.500 (multiplicity 1)
F 0.032 0.782 0.281 (multiplicity 2)
F 0.191 0.210 0.412 (multiplicity 2)
F 0.247 0.941 0.709 (multiplicity 2)

The MP2020-corrected energy comes out at -43.940 eV/cell. For the calculated density, the calculation gives 2.8 g cm⁻³.

A relaxed KZr6CI14 crystal, computed with GGA-PBE.

Unit cell a=16.160 b=14.950 c=13.054 alpha=90.00 beta=90.00 gamma=90.00
Space group Cmce (No. 64)
Symmetry-distinct sites (fractional):
K 0.000 0.000 0.000 (multiplicity 4)
Zr 0.000 0.127 0.406 (multiplicity 8)
Zr 0.103 0.062 0.606 (multiplicity 16)
C 0.000 0.000 0.500 (multiplicity 4)
I 0.000 0.150 0.762 (multiplicity 8)
I 0.123 0.087 0.251 (multiplicity 16)
I 0.124 0.236 0.507 (multiplicity 16)
I 0.249 0.000 0.500 (multiplicity 8)
I 0.250 0.147 0.750 (multiplicity 8)

The MP2020-corrected energy comes out at -442.713 eV/cell. For the calculated density, the calculation gives 5.0 g cm⁻³.

A relaxed SrOsO3 crystal, computed with GGA-PBE.

Unit cell a=5.586 b=7.970 c=5.652 alpha=90.00 beta=90.00 gamma=90.00
Space group Pnma (No. 62)
Symmetry-distinct sites (fractional):
Sr 0.024 0.250 0.003 (multiplicity 4)
Os 0.000 0.000 0.500 (multiplicity 4)
O 0.006 0.750 0.431 (multiplicity 4)
O 0.216 0.535 0.783 (multiplicity 8)

The MP2020-corrected energy comes out at -153.099 eV/cell. For the calculated density, the calculation gives 8.6 g cm⁻³.

A relaxed Li2CdIn crystal, computed with GGA-PBE.

Unit cell a=6.699 b=6.699 c=6.699 alpha=90.00 beta=90.00 gamma=90.00
Space group Fm-3m (No. 225)
Symmetry-distinct sites (fractional):
Li 0.250 0.250 0.250 (multiplicity 8)
Cd 0.000 0.000 0.000 (multiplicity 4)
In 0.000 0.000 0.500 (multiplicity 4)

The calculation puts the total energy at -2.15 eV per atom. For the calculated density, the calculation gives 5.3 g cm⁻³.

A relaxed Cs3HgBr5 crystal, computed with GGA-PBE.

Unit cell a=9.625 b=11.420 c=14.539 alpha=90.00 beta=90.00 gamma=90.00
Space group Pnma (No. 62)
Symmetry-distinct sites (fractional):
Cs 0.083 0.022 0.169 (multiplicity 8)
Cs 0.083 0.250 0.450 (multiplicity 4)
Hg 0.195 0.250 0.887 (multiplicity 4)
Br 0.040 0.750 0.011 (multiplicity 4)
Br 0.125 0.250 0.711 (multiplicity 4)
Br 0.169 0.750 0.739 (multiplicity 4)
Br 0.185 0.551 0.435 (multiplicity 8)

The MP2020-corrected energy comes out at -105.028 eV/cell. For the calculated density, the calculation gives 4.2 g cm⁻³.

A relaxed Li5TaO5 crystal, computed with GGA-PBE.

Unit cell a=9.878 b=4.031 c=5.881 alpha=90.00 beta=108.81 gamma=90.00
Space group C2/m (No. 12)
Symmetry-distinct sites (fractional):
Li 0.000 0.000 0.000 (multiplicity 2)
Li 0.192 0.500 0.359 (multiplicity 4)
Li 0.214 0.500 0.845 (multiplicity 4)
Ta 0.000 0.000 0.500 (multiplicity 2)
O 0.000 0.500 0.500 (multiplicity 2)
O 0.144 0.000 0.326 (multiplicity 4)
O 0.157 0.000 0.816 (multiplicity 4)

The MP2020-corrected energy comes out at -150.677 eV/cell. For the calculated density, the calculation gives 4.4 g cm⁻³. As for the offset from the most stable computed form: 0.0 meV/atom.